The following is a PBE calculation of crystalline LiB3PH3O9 at its relaxed geometry, from Materials Project.

Structure (POSCAR):
```
LiB3PH3O9
1.0
11.612 0.000 0.000
0.000 8.884 0.000
0.000 0.000 14.005
Li B P H O
8 24 8 24 72
Direct
0.000 0.013 0.250
0.000 0.320 0.250
0.000 0.680 0.750
0.000 0.987 0.750
0.500 0.180 0.750
0.500 0.487 0.750
0.500 0.513 0.250
0.500 0.820 0.250
0.145 0.031 0.575
0.145 0.969 0.075
0.147 0.469 0.082
0.147 0.531 0.582
0.244 0.411 0.442
0.244 0.589 0.942
0.256 0.089 0.942
0.256 0.911 0.442
0.353 0.031 0.582
0.353 0.969 0.082
0.355 0.469 0.075
0.355 0.531 0.575
0.645 0.469 0.425
0.645 0.531 0.925
0.647 0.031 0.918
0.647 0.969 0.418
0.744 0.089 0.558
0.744 0.911 0.058
0.756 0.411 0.058
0.756 0.589 0.558
0.853 0.469 0.418
0.853 0.531 0.918
0.855 0.031 0.925
0.855 0.969 0.425
0.231 0.158 0.326
0.231 0.842 0.826
0.269 0.342 0.826
0.269 0.658 0.326
0.731 0.342 0.674
0.731 0.658 0.174
0.769 0.158 0.174
0.769 0.842 0.674
0.021 0.437 0.416
0.021 0.563 0.916
0.025 0.063 0.923
0.025 0.937 0.423
0.206 0.215 0.704
0.206 0.785 0.204
0.294 0.285 0.204
0.294 0.715 0.704
0.475 0.437 0.423
0.475 0.563 0.923
0.479 0.063 0.916
0.479 0.937 0.416
0.521 0.063 0.584
0.521 0.937 0.084
0.525 0.437 0.077
0.525 0.563 0.577
0.706 0.285 0.296
0.706 0.715 0.796
0.794 0.215 0.796
0.794 0.785 0.296
0.975 0.063 0.577
0.975 0.937 0.077
0.979 0.437 0.084
0.979 0.563 0.584
0.044 0.072 0.619
0.044 0.928 0.119
0.048 0.418 0.125
0.048 0.582 0.625
0.110 0.168 0.287
0.110 0.832 0.787
0.143 0.444 0.501
0.143 0.556 0.001
0.147 0.049 0.991
0.147 0.951 0.491
0.177 0.292 0.750
0.177 0.708 0.250
0.233 0.494 0.350
0.233 0.506 0.850
0.247 0.073 0.621
0.247 0.927 0.121
0.248 0.248 0.421
0.248 0.752 0.921
0.252 0.252 0.921
0.252 0.748 0.421
0.253 0.427 0.121
0.253 0.573 0.621
0.267 0.006 0.850
0.267 0.994 0.350
0.323 0.208 0.250
0.323 0.792 0.750
0.353 0.451 0.491
0.353 0.549 0.991
0.357 0.056 0.001
0.357 0.944 0.501
0.390 0.332 0.787
0.390 0.668 0.287
0.452 0.082 0.625
0.452 0.918 0.125
0.456 0.428 0.119
0.456 0.572 0.619
0.544 0.428 0.381
0.544 0.572 0.881
0.548 0.082 0.875
0.548 0.918 0.375
0.610 0.332 0.713
0.610 0.668 0.213
0.643 0.056 0.499
0.643 0.944 0.999
0.647 0.451 0.009
0.647 0.549 0.509
0.677 0.208 0.250
0.677 0.792 0.750
0.733 0.006 0.650
0.733 0.994 0.150
0.747 0.427 0.379
0.747 0.573 0.879
0.748 0.252 0.579
0.748 0.748 0.079
0.752 0.248 0.079
0.752 0.752 0.579
0.753 0.073 0.879
0.753 0.927 0.379
0.767 0.494 0.150
0.767 0.506 0.650
0.823 0.292 0.750
0.823 0.708 0.250
0.853 0.049 0.509
0.853 0.951 0.009
0.857 0.444 0.999
0.857 0.556 0.499
0.890 0.168 0.213
0.890 0.832 0.713
0.952 0.418 0.375
0.952 0.582 0.875
0.956 0.072 0.881
0.956 0.928 0.381
```

## Properties
E (MP2020) ... -7.23 eV/atom
E ... -6.8670 eV/atom
Energy of formation from the pure elements ... -2.403 eV/atom